1.
# Na14In4Ga4Si7S5O48 PBE optimized geometry
# * DFT formation energy: -2.35 eV/atom
data_Na14In4Ga4Si7S5O48
_cell_length_a 9.069
_cell_length_b 15.688
_cell_length_c 22.429
_cell_angle_alpha 90.29
_cell_angle_beta 90.18
_cell_angle_gamma 90.01
_symmetry_space_group_name_H-M 'P 1'
_symmetry_Int_Tables_number 1
_symmetry_space_group_name_Hall 'P 1'
loop_
_atom_site_label
_atom_site_type_symbol
_atom_site_fract_x
_atom_site_fract_y
_atom_site_fract_z
Na1 Na 0.000 0.000 0.000
Na2 Na 0.000 0.032 0.324
Na3 Na 0.001 0.374 0.987
Na4 Na 0.011 0.331 0.660
Na5 Na 0.014 0.675 0.320
Na6 Na 0.124 0.173 0.823
Na7 Na 0.126 0.838 0.158
Na8 Na 0.139 0.876 0.484
Na9 Na 0.142 0.500 0.491
Na10 Na 0.142 0.533 0.833
Na11 Na 0.176 0.188 0.494
Na12 Na 0.184 0.525 0.160
Na13 Na 0.190 0.856 0.835
Na14 Na 0.309 0.689 0.245
Na15 Na 0.315 0.347 0.573
Na16 Na 0.321 0.014 0.913
Na17 Na 0.327 0.012 0.407
Na18 Na 0.330 0.686 0.747
Na19 Na 0.331 0.353 0.073
Na20 Na 0.452 0.862 0.332
Na21 Na 0.455 0.524 0.662
Na22 Na 0.463 0.184 0.001
Na23 Na 0.497 0.533 0.328
Na24 Na 0.499 0.875 0.989
Na25 Na 0.512 0.170 0.319
Na26 Na 0.512 0.830 0.659
Na27 Na 0.626 0.673 0.824
Na28 Na 0.628 0.328 0.158
Na29 Na 0.639 0.372 0.485
Na30 Na 0.644 0.033 0.832
Na31 Na 0.676 0.687 0.495
Na32 Na 0.686 0.358 0.836
Na33 Na 0.696 0.025 0.162
Na34 Na 0.808 0.856 0.571
Na35 Na 0.813 0.513 0.912
Na36 Na 0.816 0.179 0.242
Na37 Na 0.819 0.514 0.408
Na38 Na 0.830 0.186 0.747
Na39 Na 0.830 0.853 0.078
Na40 Na 0.950 0.355 0.332
Na41 Na 0.956 0.025 0.660
Na42 Na 0.964 0.690 0.997
In1 In 0.302 0.688 0.092
In2 In 0.310 0.353 0.730
In3 In 0.318 0.022 0.555
In4 In 0.327 0.368 0.928
In5 In 0.328 0.350 0.229
In6 In 0.336 0.684 0.591
In7 In 0.811 0.180 0.096
In8 In 0.811 0.851 0.729
In9 In 0.812 0.870 0.425
In10 In 0.821 0.522 0.055
In11 In 0.837 0.187 0.590
In12 In 0.838 0.859 0.226
Ga1 Ga 0.305 0.019 0.765
Ga2 Ga 0.318 0.370 0.424
Ga3 Ga 0.319 0.021 0.060
Ga4 Ga 0.320 0.021 0.258
Ga5 Ga 0.322 0.689 0.896
Ga6 Ga 0.323 0.689 0.393
Ga7 Ga 0.807 0.520 0.763
Ga8 Ga 0.807 0.522 0.554
Ga9 Ga 0.818 0.188 0.394
Ga10 Ga 0.819 0.188 0.895
Ga11 Ga 0.822 0.872 0.926
Ga12 Ga 0.835 0.519 0.264
Si1 Si 0.012 0.354 0.826
Si2 Si 0.039 0.025 0.159
Si3 Si 0.127 0.852 0.328
Si4 Si 0.167 0.838 0.990
Si5 Si 0.173 0.504 0.326
Si6 Si 0.176 0.541 0.992
Si7 Si 0.182 0.167 0.662
Si8 Si 0.454 0.165 0.159
Si9 Si 0.466 0.539 0.491
Si10 Si 0.469 0.834 0.492
Si11 Si 0.470 0.507 0.823
Si12 Si 0.519 0.854 0.827
Si13 Si 0.621 0.354 0.328
Si14 Si 0.662 0.008 0.323
Si15 Si 0.668 0.039 0.990
Si16 Si 0.674 0.332 0.993
Si17 Si 0.686 0.664 0.659
Si18 Si 0.959 0.666 0.162
Si19 Si 0.964 0.041 0.492
Si20 Si 0.967 0.004 0.826
Si21 Si 0.971 0.338 0.492
S1 S 0.027 0.685 0.493
S2 S 0.105 0.524 0.659
S3 S 0.113 0.186 0.991
S4 S 0.172 0.208 0.330
S5 S 0.172 0.872 0.662
S6 S 0.466 0.873 0.159
S7 S 0.470 0.203 0.826
S8 S 0.528 0.190 0.491
S9 S 0.530 0.523 0.162
S10 S 0.610 0.023 0.662
S11 S 0.612 0.689 0.990
S12 S 0.672 0.704 0.326
S13 S 0.674 0.375 0.659
S14 S 0.968 0.374 0.162
S15 S 0.968 0.706 0.828
O1 O 0.008 0.199 0.335
O2 O 0.009 0.867 0.667
O3 O 0.012 0.511 0.605
O4 O 0.017 0.530 0.714
O5 O 0.021 0.172 0.936
O6 O 0.022 0.203 0.044
O7 O 0.024 0.870 0.387
O8 O 0.029 0.824 0.270
O9 O 0.106 0.329 0.766
O10 O 0.116 0.374 0.884
O11 O 0.119 0.670 0.440
O12 O 0.119 0.700 0.548
O13 O 0.130 0.370 0.168
O14 O 0.131 0.696 0.833
O15 O 0.135 0.031 0.221
O16 O 0.139 0.006 0.099
O17 O 0.144 0.674 0.163
O18 O 0.147 0.038 0.491
O19 O 0.149 0.013 0.822
O20 O 0.153 0.344 0.483
O21 O 0.183 0.783 0.051
O22 O 0.189 0.261 0.276
O23 O 0.189 0.441 0.384
O24 O 0.198 0.923 0.607
O25 O 0.200 0.601 0.656
O26 O 0.204 0.446 0.660
O27 O 0.205 0.108 0.995
O28 O 0.210 0.602 0.934
O29 O 0.211 0.262 0.985
O30 O 0.212 0.104 0.720
O31 O 0.226 0.940 0.319
O32 O 0.230 0.442 0.993
O33 O 0.234 0.766 0.335
O34 O 0.240 0.123 0.325
O35 O 0.240 0.786 0.658
O36 O 0.242 0.250 0.383
O37 O 0.243 0.912 0.715
O38 O 0.244 0.128 0.600
O39 O 0.245 0.933 0.996
O40 O 0.247 0.575 0.054
O41 O 0.249 0.266 0.663
O42 O 0.249 0.464 0.266
O43 O 0.251 0.598 0.336
O44 O 0.253 0.792 0.933
O45 O 0.382 0.569 0.552
O46 O 0.386 0.264 0.160
O47 O 0.387 0.787 0.435
O48 O 0.387 0.927 0.495
O49 O 0.390 0.600 0.833
O50 O 0.392 0.469 0.762
O51 O 0.396 0.787 0.154
O52 O 0.397 0.120 0.097
O53 O 0.397 0.241 0.880
O54 O 0.397 0.442 0.486
O55 O 0.398 0.912 0.213
O56 O 0.403 0.117 0.819
O57 O 0.411 0.770 0.836
O58 O 0.421 0.943 0.818
O59 O 0.428 0.107 0.219
O60 O 0.430 0.446 0.164
O61 O 0.431 0.266 0.486
O62 O 0.434 0.113 0.494
O63 O 0.438 0.601 0.158
O64 O 0.438 0.925 0.104
O65 O 0.439 0.603 0.435
O66 O 0.447 0.783 0.556
O67 O 0.449 0.259 0.773
O68 O 0.465 0.437 0.876
O69 O 0.482 0.020 0.316
O70 O 0.486 0.031 0.997
O71 O 0.493 0.330 0.988
O72 O 0.500 0.671 0.660
O73 O 0.509 0.373 0.385
O74 O 0.509 0.695 0.331
O75 O 0.512 0.370 0.664
O76 O 0.518 0.008 0.608
O77 O 0.519 0.029 0.717
O78 O 0.520 0.677 0.936
O79 O 0.520 0.704 0.045
O80 O 0.530 0.330 0.268
O81 O 0.607 0.829 0.766
O82 O 0.619 0.205 0.546
O83 O 0.620 0.178 0.437
O84 O 0.621 0.507 0.108
O85 O 0.621 0.529 0.217
O86 O 0.627 0.866 0.164
O87 O 0.631 0.195 0.831
O88 O 0.633 0.871 0.883
O89 O 0.637 0.177 0.161
O90 O 0.649 0.531 0.497
O91 O 0.650 0.832 0.487
O92 O 0.651 0.519 0.819
O93 O 0.666 0.941 0.379
O94 O 0.696 0.101 0.932
O95 O 0.696 0.760 0.274
O96 O 0.703 0.101 0.658
O97 O 0.704 0.280 0.055
O98 O 0.704 0.427 0.605
O99 O 0.706 0.612 0.994
O100 O 0.708 0.765 0.985
O101 O 0.710 0.946 0.663
O102 O 0.716 0.604 0.718
O103 O 0.720 0.443 0.319
O104 O 0.729 0.271 0.337
O105 O 0.737 0.617 0.319
O106 O 0.739 0.942 0.985
O107 O 0.741 0.288 0.654
O108 O 0.742 0.740 0.381
O109 O 0.744 0.413 0.713
O110 O 0.746 0.968 0.265
O111 O 0.747 0.100 0.334
O112 O 0.747 0.617 0.598
O113 O 0.750 0.762 0.661
O114 O 0.753 0.288 0.934
O115 O 0.753 0.426 0.995
O116 O 0.757 0.071 0.049
O117 O 0.883 0.294 0.436
O118 O 0.889 0.762 0.164
O119 O 0.890 0.099 0.835
O120 O 0.892 0.966 0.765
O121 O 0.894 0.073 0.556
O122 O 0.896 0.436 0.501
O123 O 0.896 0.745 0.880
O124 O 0.898 0.415 0.216
O125 O 0.898 0.626 0.100
O126 O 0.899 0.289 0.158
O127 O 0.901 0.619 0.820
O128 O 0.906 0.269 0.833
O129 O 0.909 0.942 0.493
O130 O 0.915 0.443 0.815
O131 O 0.928 0.759 0.488
O132 O 0.929 0.940 0.158
O133 O 0.930 0.105 0.436
O134 O 0.930 0.602 0.220
O135 O 0.931 0.109 0.159
O136 O 0.936 0.605 0.498
O137 O 0.943 0.426 0.107
O138 O 0.950 0.759 0.773
O139 O 0.950 0.939 0.882
O140 O 0.955 0.286 0.555
O141 O 0.985 0.842 0.981
O142 O 0.990 0.513 0.323
O143 O 0.993 0.538 0.991
O144 O 0.996 0.176 0.663

=====

2.
# Rb3Os PBE optimized geometry
# * DFT formation energy: 1.45 eV/atom
# * polymorph energy (0 for the lowest one): 37 meV per atom
data_Rb3Os
_cell_length_a 5.696
_cell_length_b 5.696
_cell_length_c 5.696
_cell_angle_alpha 90.00
_cell_angle_beta 90.00
_cell_angle_gamma 90.00
_symmetry_space_group_name_H-M 'P m -3 m'
_symmetry_Int_Tables_number 221
_symmetry_space_group_name_Hall '-P 4 2 3'
loop_
_atom_site_label
_atom_site_type_symbol
_atom_site_fract_x
_atom_site_fract_y
_atom_site_fract_z
Rb1 Rb 0.000 0.000 0.500
Os1 Os 0.500 0.500 0.500

=====

3.
# CsTiF4 PBE optimized geometry
# * DFT formation energy: -3.48 eV/atom
data_CsTiF4
_cell_length_a 8.032
_cell_length_b 8.032
_cell_length_c 6.642
_cell_angle_alpha 90.00
_cell_angle_beta 90.00
_cell_angle_gamma 90.00
_symmetry_space_group_name_H-M 'P 4/n m m'
_symmetry_Int_Tables_number 129
loop_
_symmetry_equiv_pos_as_xyz
'x,y,z'
'-x,-y,-z'
'-y+1/2,x,z'
'y+1/2,-x,-z'
'-x+1/2,-y+1/2,z'
'x+1/2,y+1/2,-z'
'y,-x+1/2,z'
'-y,x+1/2,-z'
'x+1/2,-y,-z'
'-x+1/2,y,z'
'-y,-x,-z'
'y,x,z'
'-x,y+1/2,-z'
'x,-y+1/2,z'
'y+1/2,x+1/2,-z'
'-y+1/2,-x+1/2,z'
loop_
_atom_site_label
_atom_site_type_symbol
_atom_site_fract_x
_atom_site_fract_y
_atom_site_fract_z
Cs1 Cs 0.250 0.250 0.052
Cs2 Cs 0.250 0.750 0.000
Ti1 Ti 0.000 0.000 0.500
F1 F 0.002 0.750 0.546
F2 F 0.030 0.030 0.785

=====

4.
# CsZr6MnI14 PBE optimized geometry
# * DFT formation energy: -1.21 eV/atom
data_CsZr6MnI14
_cell_length_a 16.456
_cell_length_b 15.023
_cell_length_c 13.416
_cell_angle_alpha 90.00
_cell_angle_beta 90.00
_cell_angle_gamma 90.00
_symmetry_space_group_name_H-M 'C m c e'
_symmetry_Int_Tables_number 64
_symmetry_space_group_name_Hall '-C 2ac 2'
loop_
_atom_site_label
_atom_site_type_symbol
_atom_site_fract_x
_atom_site_fract_y
_atom_site_fract_z
Cs1 Cs 0.000 0.000 0.000
Zr1 Zr 0.000 0.136 0.399
Zr2 Zr 0.109 0.066 0.611
Mn1 Mn 0.000 0.000 0.500
I1 I 0.000 0.157 0.757
I2 I 0.123 0.087 0.252
I3 I 0.124 0.238 0.506
I4 I 0.249 0.000 0.500
I5 I 0.250 0.147 0.750